(1)
Below is a relaxed structure of SbSeCl9, with properties calculated at the PBE level.

SG	P2_1/m (11)
E	-2.73	eV per atom

```
SbSeCl9
1.0
-4.020 -7.186 8.254
-6.263 -3.837 -6.390
6.961 -10.230 -5.515
Cl Se Sb
36 4 4
direct
0.602 0.159 0.529
0.107 0.833 0.969
0.898 0.539 0.112
0.250 0.840 0.756
0.606 0.820 0.224
0.750 0.146 0.753
0.607 0.167 0.031
0.398 0.841 0.471
0.250 0.161 0.995
0.898 0.159 0.529
0.894 0.820 0.224
0.393 0.476 0.375
0.750 0.160 0.244
0.393 0.833 0.969
0.893 0.524 0.625
0.250 0.485 0.664
0.607 0.524 0.625
0.106 0.145 0.282
0.394 0.180 0.776
0.394 0.145 0.282
0.893 0.167 0.031
0.102 0.461 0.888
0.750 0.865 0.502
0.750 0.839 0.005
0.250 0.481 0.161
0.250 0.135 0.498
0.106 0.180 0.776
0.606 0.855 0.718
0.107 0.476 0.375
0.750 0.515 0.336
0.250 0.854 0.247
0.750 0.519 0.839
0.102 0.841 0.471
0.398 0.461 0.888
0.602 0.539 0.112
0.894 0.855 0.718
0.750 0.053 0.119
0.750 0.635 0.678
0.250 0.947 0.881
0.250 0.365 0.322
0.250 0.979 0.378
0.750 0.021 0.622
0.750 0.666 0.171
0.250 0.334 0.829
```

(2)
Below is a relaxed structure of B6Pb, with properties calculated at the PBE level.

SG	Pm-3m (221)
E	-6.14	eV per atom

```
B6Pb
1.0
-2.403 1.931 -2.884
-1.863 -3.677 -0.910
-2.929 0.755 2.946
B Pb
6 1
direct
0.500 0.797 0.500
0.797 0.500 0.500
0.203 0.500 0.500
0.500 0.203 0.500
0.500 0.500 0.797
0.500 0.500 0.203
0.000 0.000 0.000
```

(3)
Below is a relaxed structure of GaIr, with properties calculated at the PBE level.

SG	Pm-3m (221)
E	-6.33	eV per atom

```
GaIr
1.0
-2.026 0.860 -2.127
-2.194 0.102 2.131
0.670 2.935 0.549
Ga Ir
1 1
direct
0.000 0.000 0.000
0.500 0.500 0.500
```

(4)
Below is a relaxed structure of K5CuSb2, with properties calculated at the PBE level.

SG	R-3m (166)
E	-2.60	eV per atom

```
K5CuSb2
1.0
9.619 -2.998 0.000
9.619 2.998 0.000
8.685 0.000 5.108
Cu Sb K
1 2 5
direct
0.000 0.000 0.000
0.088 0.088 0.088
0.912 0.912 0.912
0.783 0.783 0.783
0.365 0.365 0.365
0.635 0.635 0.635
0.217 0.217 0.217
0.500 0.500 0.500
```

(5)
Below is a relaxed structure of NaCd2Ge3O9, with properties calculated at the PBE level.

SG	P-1 (2)
E	-5.54	eV per atom

```
NaCd2Ge3O9
1.0
-7.929 -1.306 -1.313
1.355 -4.130 5.732
-1.144 5.700 4.343
O Cd Ge Na
18 4 6 2
direct
0.059 0.389 0.160
0.951 0.108 0.831
0.814 0.486 0.438
0.674 0.795 0.104
0.843 0.174 0.441
0.585 0.471 0.719
0.326 0.205 0.896
0.415 0.529 0.281
0.324 0.708 0.939
0.676 0.292 0.061
0.411 0.920 0.290
0.589 0.080 0.710
0.266 0.192 0.417
0.049 0.892 0.169
0.186 0.514 0.562
0.157 0.826 0.559
0.941 0.611 0.840
0.734 0.808 0.583
0.147 0.411 0.859
0.853 0.589 0.141
0.148 0.910 0.867
0.852 0.090 0.133
0.459 0.739 0.142
0.793 0.053 0.648
0.207 0.947 0.352
0.210 0.408 0.347
0.790 0.592 0.653
0.541 0.261 0.858
0.561 0.262 0.352
0.439 0.738 0.648
```

(6)
Below is a relaxed structure of Eu2BrO2, with properties calculated at the PBE level.

SG	C2/m (12)
E	-9.12	eV per atom

```
Eu2BrO2
1.0
4.761 -4.668 1.206
5.009 -3.702 -2.668
9.312 2.565 1.235
O Eu Br
4 4 2
direct
0.853 0.853 0.425
0.449 0.449 0.688
0.551 0.551 0.312
0.147 0.147 0.575
0.957 0.957 0.803
0.659 0.659 0.448
0.043 0.043 0.197
0.341 0.341 0.552
0.332 0.332 0.124
0.668 0.668 0.876
```

(7)
Below is a relaxed structure of KU3AsO15, with properties calculated at the PBE level.

SG	Cccm (66)
E	-7.52	eV per atom

```
KU3AsO15
1.0
1.212 7.158 -0.920
-3.642 -0.972 6.272
11.610 -1.120 6.568
O U K As
30 6 2 2
direct
0.681 0.529 0.664
0.319 0.471 0.336
0.000 0.000 0.750
0.319 0.471 0.664
0.579 0.759 0.500
0.500 0.000 0.280
0.231 0.900 0.866
0.000 0.000 0.250
0.681 0.529 0.336
0.000 0.500 0.220
0.769 0.100 0.134
0.529 0.681 0.164
0.100 0.769 0.634
0.241 0.421 0.000
0.471 0.319 0.836
0.900 0.231 0.366
0.161 0.489 0.500
0.471 0.319 0.164
0.500 0.000 0.720
0.511 0.839 0.000
0.000 0.500 0.780
0.231 0.900 0.134
0.839 0.511 0.500
0.100 0.769 0.366
0.489 0.161 0.000
0.769 0.100 0.866
0.421 0.241 0.500
0.900 0.231 0.634
0.759 0.579 0.000
0.529 0.681 0.836
0.000 0.500 0.640
0.000 0.500 0.360
0.500 0.500 0.500
0.500 0.500 0.000
0.500 0.000 0.140
0.500 0.000 0.860
0.000 0.000 0.000
0.000 0.000 0.500
0.500 0.500 0.250
0.500 0.500 0.750
```

(8)
Below is a relaxed structure of Ca2Gd3Si3O13, with properties calculated at the PBE level.

SG	P6_3/m (176)
E	-9.14	eV per atom

```
Ca2Gd3Si3O13
1.0
0.000 0.000 -6.957
-4.758 -8.242 0.000
-4.758 8.242 0.000
O Ca Si Gd
26 4 6 6
direct
0.935 0.910 0.244
0.750 0.880 0.474
0.065 0.666 0.910
0.250 0.829 0.521
0.565 0.334 0.090
0.750 0.521 0.691
0.565 0.756 0.666
0.250 0.479 0.309
0.750 0.526 0.406
0.250 0.000 0.000
0.250 0.120 0.526
0.435 0.090 0.756
0.935 0.334 0.090
0.435 0.666 0.910
0.250 0.406 0.880
0.750 0.000 0.000
0.065 0.244 0.334
0.565 0.910 0.244
0.750 0.594 0.120
0.065 0.090 0.756
0.750 0.171 0.479
0.435 0.244 0.334
0.250 0.474 0.594
0.250 0.691 0.171
0.750 0.309 0.829
0.935 0.756 0.666
0.496 0.667 0.333
0.504 0.333 0.667
0.004 0.667 0.333
0.996 0.333 0.667
0.750 0.395 0.026
0.250 0.369 0.395
0.250 0.026 0.631
0.750 0.974 0.369
0.250 0.605 0.974
0.750 0.631 0.605
0.750 0.752 0.993
0.750 0.007 0.759
0.250 0.248 0.007
0.250 0.993 0.241
0.750 0.241 0.248
0.250 0.759 0.752
```

(9)
Below is a relaxed structure of Y4Al, with properties calculated at the PBE level.

SG	Fd-3m (227)
E	-5.46	eV per atom

```
Y4Al
1.0
0.000 5.594 5.594
5.594 0.000 5.594
5.594 5.594 0.000
Y Al
8 2
direct
0.856 0.856 0.856
0.394 0.394 0.394
0.856 0.856 0.431
0.394 0.394 0.819
0.431 0.856 0.856
0.856 0.431 0.856
0.394 0.819 0.394
0.819 0.394 0.394
0.250 0.250 0.250
0.000 0.000 0.000
```

(10)
Below is a relaxed structure of Na3CaTi3P5SO24, with properties calculated at the PBE level.

SG	P1 (1)
E	-7.28	eV per atom

```
Na3CaTi3P5SO24
1.0
-2.983 7.535 3.495
0.205 -7.298 4.861
20.923 5.041 6.696
Ti Ca O P S Na
9 3 72 15 3 9
direct
0.990 0.995 0.649
0.335 0.662 0.014
0.005 0.997 0.147
0.002 0.999 0.856
0.672 0.334 0.981
0.339 0.672 0.815
0.332 0.672 0.316
0.334 0.659 0.520
0.685 0.349 0.482
0.990 0.000 0.359
0.666 0.332 0.178
0.659 0.337 0.687
0.511 0.846 0.064
0.498 0.868 0.363
0.520 0.377 0.424
0.332 0.849 0.572
0.697 0.162 0.027
0.185 0.161 0.087
0.467 0.099 0.634
0.157 0.672 0.066
0.670 0.533 0.244
0.193 0.206 0.420
0.153 0.488 0.570
0.133 0.635 0.361
0.185 0.473 0.251
0.284 0.467 0.758
0.477 0.141 0.246
0.503 0.142 0.923
0.837 0.311 0.532
0.793 0.791 0.304
0.210 0.004 0.310
0.127 0.490 0.858
0.980 0.162 0.588
0.173 0.978 0.910
0.868 0.336 0.243
0.002 0.823 0.809
0.796 0.822 0.196
0.841 0.817 0.587
0.606 0.083 0.134
0.175 0.178 0.809
0.824 0.999 0.808
0.452 0.144 0.527
0.519 0.673 0.568
0.454 0.301 0.754
0.171 0.976 0.196
0.530 0.817 0.758
0.789 0.976 0.423
0.531 0.691 0.970
0.364 0.498 0.361
0.331 0.486 0.065
0.505 0.846 0.474
0.162 0.474 0.968
0.864 0.482 0.424
0.163 0.195 0.697
0.022 0.193 0.911
0.157 0.665 0.473
0.622 0.532 0.639
0.466 0.381 0.138
0.986 0.820 0.087
0.188 0.017 0.585
0.032 0.819 0.420
0.618 0.139 0.426
0.023 0.201 0.196
0.915 0.532 0.137
0.503 0.638 0.861
0.636 0.497 0.924
0.526 0.706 0.251
0.839 0.532 0.028
0.857 0.540 0.754
0.805 0.828 0.910
0.800 0.968 0.695
0.835 0.018 0.088
0.860 0.362 0.924
0.702 0.154 0.752
0.185 0.715 0.757
0.337 0.488 0.473
0.695 0.532 0.529
0.465 0.299 0.029
0.995 0.207 0.304
0.361 0.862 0.862
0.293 0.809 0.255
0.910 0.372 0.643
0.310 0.848 0.973
0.025 0.830 0.696
0.668 0.031 0.079
0.367 0.336 0.080
0.276 0.285 0.754
0.292 0.990 0.254
0.969 0.632 0.080
0.014 0.725 0.754
0.621 0.664 0.916
0.042 0.379 0.915
0.337 0.959 0.917
0.711 0.986 0.754
0.670 0.636 0.582
0.045 0.653 0.419
0.611 0.958 0.421
0.968 0.333 0.585
0.351 0.391 0.418
0.363 0.031 0.580
0.698 0.711 0.250
0.014 0.302 0.249
0.987 0.002 0.998
0.986 0.001 0.500
0.669 0.336 0.328
0.346 0.673 0.665
0.320 0.979 0.084
0.991 0.371 0.747
0.325 0.038 0.413
0.652 0.333 0.833
0.334 0.653 0.168
```

(11)
Below is a relaxed structure of TiZnSnO4, with properties calculated at the PBE level.

SG	Pnma (62)
energy relative to the lowest polymorph listed for this composition	228	meV per atom
E	-6.52	eV per atom

```
TiZnSnO4
1.0
3.115 0.000 0.000
0.000 10.082 0.000
0.000 0.000 11.707
Sn Ti O Zn
4 4 16 4
direct
0.750 0.649 0.466
0.750 0.851 0.966
0.250 0.149 0.034
0.250 0.351 0.534
0.250 0.816 0.220
0.250 0.684 0.720
0.750 0.316 0.280
0.750 0.184 0.780
0.250 0.276 0.869
0.250 0.564 0.575
0.750 0.191 0.155
0.750 0.309 0.655
0.250 0.412 0.219
0.750 0.724 0.131
0.250 0.936 0.075
0.750 0.436 0.425
0.250 0.224 0.369
0.750 0.912 0.281
0.750 0.064 0.925
0.250 0.088 0.719
0.250 0.809 0.845
0.750 0.588 0.781
0.750 0.776 0.631
0.250 0.691 0.345
0.250 0.981 0.581
0.750 0.019 0.419
0.250 0.519 0.081
0.750 0.481 0.919
```

(12)
Below is a relaxed structure of NaY3, with properties calculated at the PBE level.

SG	I4/mmm (139)
energy relative to the lowest polymorph listed for this composition	0	meV per atom
E	-4.88	eV per atom

```
NaY3
1.0
1.405 -6.216 1.237
2.804 -1.188 5.733
-5.209 3.285 -2.053
Na Y
1 3
direct
0.000 0.000 0.000
0.750 0.250 0.500
0.500 0.500 0.000
0.250 0.750 0.500
```

(13)
Below is a relaxed structure of Fe3Mo, with properties calculated at the PBE level.

SG	P6_3/mmc (194)
E	-8.98	eV per atom

```
Fe3Mo
1.0
2.564 -4.442 0.000
2.564 4.442 0.000
0.000 0.000 4.109
Fe Mo
6 2
direct
0.678 0.839 0.250
0.839 0.161 0.750
0.839 0.678 0.750
0.161 0.839 0.250
0.322 0.161 0.750
0.161 0.322 0.250
0.667 0.333 0.250
0.333 0.667 0.750
```

no.,formation energy from the elements (meV per atom),ρ (g/cm3)
1,-1029,2.3
2,115,6.0
3,-399,15.2
4,-407,2.8
5,-1851,4.9
6,-2986,6.5
7,-2341,5.2
8,-3527,5.1
9,462,3.6
10,-2870,2.7
11,-2201,5.3
12,299,3.7
13,81,9.3